Record 1
# Na5InTe4

A relaxed Na5InTe4 crystal (PBE, Materials Project).

a b c (Å): 7.4919 20.3657 17.8894
angles (deg): 90.00 90.00 90.00
With the nearest neighbours (Å) after each atom.
Space group Pbcn (No. 60)
Symmetry-distinct sites (fractional):
Na 0.0000 0.0000 0.0000 (multiplicity 4)  6 Te 3.30-3.64
Na 0.0000 0.1279 0.2500 (multiplicity 4)  6 Te 3.31-3.53
Na 0.0250 0.2344 0.0084 (multiplicity 8)  4 Te 3.13-3.44
Na 0.1679 0.3824 0.4152 (multiplicity 8)  4 Te 3.07-3.25
Na 0.1739 0.2396 0.6799 (multiplicity 8)  4 Te 3.10-3.37
Na 0.1808 0.4970 0.1692 (multiplicity 8)  4 Te 3.09-3.45
In 0.1411 0.3792 0.9119 (multiplicity 8)  4 Te 2.80-2.86
Te 0.2226 0.0107 0.3380 (multiplicity 8)  1 In 2.80, 2 Na 3.07-3.12
Te 0.2325 0.2406 0.3473 (multiplicity 8)  1 In 2.86, 2 Na 3.10-3.17
Te 0.2356 0.3709 0.5868 (multiplicity 8)  1 In 2.83, 3 Na 3.09-3.13
Te 0.2375 0.1244 0.5634 (multiplicity 8)  1 In 2.86, 2 Na 3.17-3.18

Output
* calculated density: 3.602 Mg/m³
* size of the total moment: 0.00 μB/f.u.
* corrected total energy (MP2020 scheme): -31.660 eV per formula unit

Record 2
# Nd2NbInO7

A relaxed Nd2NbInO7 crystal (PBE, Materials Project).

a b c (Å): 7.4871 7.6920 10.7516
angles (deg): 90.00 90.00 90.00
With the nearest neighbours (Å) after each atom.
Space group Imma (No. 74)
Symmetry-distinct sites (fractional):
Nd 0.0000 0.0000 0.0000 (multiplicity 4)  8 O 2.36-2.63
Nd 0.2500 0.2500 0.2500 (multiplicity 4)  6 O 2.29-2.56
Nb 0.0000 0.0000 0.5000 (multiplicity 4)  6 O 2.01-2.03
In 0.2500 0.2500 0.7500 (multiplicity 4)  6 O 2.16-2.21
O 0.0000 0.2500 0.1274 (multiplicity 4)  4 Nd 2.29-2.36
O 0.0000 0.2500 0.4388 (multiplicity 4)  2 Nb 2.03
O 0.0000 0.2500 0.8510 (multiplicity 4)  2 In 2.16
O 0.1985 0.0278 0.6242 (multiplicity 16)  1 Nb 2.01, 1 In 2.21

Output
* calculated density: 6.524 Mg/m³
* size of the total moment: 0.00 μB/f.u.
* corrected total energy (MP2020 scheme): -92.297 eV per formula unit

Record 3
# NbInNi

A relaxed NbInNi crystal (PBE, Materials Project).

a b c (Å): 4.2965 4.2864 5.8893
angles (deg): 90.00 111.25 90.00
With the nearest neighbours (Å) after each atom.
Space group Cm (No. 8)
Symmetry-distinct sites (fractional):
Nb 0.0000 0.0000 0.0000 (multiplicity 2)  4 Ni 2.59
In 0.2951 0.0000 0.5928 (multiplicity 2)  4 Ni 2.80-2.81, 4 In 3.03, 4 Nb 3.09-3.11
Ni 0.1311 0.5000 0.2643 (multiplicity 2)  4 Nb 2.59, 4 In 2.80-2.81

Output
* calculated density: 8.753 Mg/m³
* VASP energy: -6.272 eV per atom
* size of the total moment: 0.00 μB/f.u.